Below is a relaxed structure of TbNi12B6, with properties calculated at the GGA-PBE level.

```
38
Lattice="3.678 -4.774 0.000 3.678 4.774 0.000 0.000 0.000 10.961" Properties=species:S:1:pos:R:3 pbc="T T T"
Ni 3.409 -1.853 10.218
B 6.154 0.000 7.257
Ni 5.993 -1.747 6.168
Ni 5.993 1.747 6.168
Ni 1.364 1.747 0.688
B 3.995 -2.058 6.743
Ni 3.782 3.516 8.159
Ni 3.409 1.853 10.218
Ni 2.525 1.248 7.930
B 3.361 2.058 1.262
B 5.104 -2.804 9.618
Tb 6.130 0.000 0.039
Ni 3.782 -3.516 8.159
Ni 4.832 -1.248 2.450
Tb 1.227 0.000 5.520
Ni 1.601 0.000 9.874
Ni 4.832 1.248 2.450
B 5.104 2.804 9.618
B 3.361 -2.058 1.262
B 2.253 -2.804 4.138
Ni 3.948 1.853 4.737
Ni 3.948 -1.853 4.737
B 3.995 2.058 6.743
B 3.588 0.000 9.260
Ni 3.575 -3.516 2.679
Ni 4.170 0.000 6.375
Ni 2.392 -1.248 2.924
B 1.202 0.000 1.776
Ni 4.965 1.248 8.405
B 3.769 0.000 3.779
Ni 3.575 3.516 2.679
B 2.253 2.804 4.138
Ni 2.392 1.248 2.924
Ni 4.965 -1.248 8.405
Ni 5.756 0.000 4.394
Ni 3.187 0.000 0.894
Ni 1.364 -1.747 0.688
Ni 2.525 -1.248 7.930
```

Output
symmetry: No. 36
E: -243.16 eV per cell
DFT formation energy: -0.40 eV/atom
crystal system: orthorhombic